Record 1
# PBE+U Sr3Co2Cu2S2O5, optimized geometry
data_Sr3Co2Cu2S2O5
_chemical_formula_sum 'Sr3 Co2 Cu2 S2 O5'
_symmetry_space_group_name_H-M 'P 1'
_symmetry_Int_Tables_number 1
_symmetry_space_group_name_Hall 'P 1'
_cell_length_a 13.880
_cell_length_b 13.880
_cell_length_c 13.880
_cell_angle_alpha 163.73
_cell_angle_beta 163.73
_cell_angle_gamma 23.09
loop_
_atom_site_label
_atom_site_type_symbol
_atom_site_fract_x
_atom_site_fract_y
_atom_site_fract_z
_atom_site_occupancy
Sr1 Sr 0.000 0.000 0.000 1
Sr2 Sr 0.137 0.137 0.000 1
Sr3 Sr 0.863 0.863 0.000 1
Co1 Co 0.429 0.429 0.000 1
Co2 Co 0.571 0.571 0.000 1
Cu1 Cu 0.250 0.750 0.500 1
Cu2 Cu 0.750 0.250 0.500 1
S1 S 0.300 0.300 0.000 1
S2 S 0.700 0.700 0.000 1
O1 O 0.081 0.581 0.500 1
O2 O 0.419 0.919 0.500 1
O3 O 0.500 0.500 0.000 1
O4 O 0.581 0.081 0.500 1
O5 O 0.919 0.419 0.500 1
# Excess energy over the best structure of this formula in the dataset, eV/atom: 0.000
# Crystal system: tetragonal
# Symmetry: I4/mmm (139)



Record 2
# PBE+U K2MnH8S2O12, optimized geometry
data_K2MnH8S2O12
_chemical_formula_sum 'K8 Mn4 H32 S8 O48'
_symmetry_space_group_name_H-M 'P 1'
_symmetry_Int_Tables_number 1
_symmetry_space_group_name_Hall 'P 1'
_cell_length_a 10.102
_cell_length_b 9.697
_cell_length_c 12.091
_cell_angle_alpha 90.00
_cell_angle_beta 95.52
_cell_angle_gamma 90.00
loop_
_atom_site_label
_atom_site_type_symbol
_atom_site_fract_x
_atom_site_fract_y
_atom_site_fract_z
_atom_site_occupancy
K1 K 0.240 0.232 0.170 1
K2 K 0.240 0.268 0.670 1
K3 K 0.259 0.741 0.669 1
K4 K 0.259 0.759 0.169 1
K5 K 0.741 0.241 0.831 1
K6 K 0.741 0.259 0.331 1
K7 K 0.760 0.732 0.330 1
K8 K 0.760 0.768 0.830 1
Mn1 Mn 0.000 0.000 0.500 1
Mn2 Mn 0.000 0.500 0.000 1
Mn3 Mn 0.500 0.000 0.000 1
Mn4 Mn 0.500 0.500 0.500 1
H1 H 0.031 0.214 0.942 1
H2 H 0.031 0.286 0.442 1
H3 H 0.048 0.715 0.447 1
H4 H 0.048 0.785 0.947 1
H5 H 0.266 0.641 0.412 1
H6 H 0.266 0.859 0.912 1
H7 H 0.268 0.141 0.922 1
H8 H 0.268 0.359 0.422 1
H9 H 0.272 0.516 0.927 1
H10 H 0.272 0.984 0.427 1
H11 H 0.280 0.016 0.555 1
H12 H 0.280 0.484 0.055 1
H13 H 0.383 0.749 0.921 1
H14 H 0.383 0.751 0.421 1
H15 H 0.391 0.242 0.922 1
H16 H 0.391 0.258 0.422 1
H17 H 0.609 0.742 0.578 1
H18 H 0.609 0.758 0.078 1
H19 H 0.617 0.249 0.579 1
H20 H 0.617 0.251 0.079 1
H21 H 0.720 0.516 0.945 1
H22 H 0.720 0.984 0.445 1
H23 H 0.728 0.016 0.573 1
H24 H 0.728 0.484 0.073 1
H25 H 0.732 0.641 0.578 1
H26 H 0.732 0.859 0.078 1
H27 H 0.734 0.141 0.088 1
H28 H 0.734 0.359 0.588 1
H29 H 0.952 0.215 0.053 1
H30 H 0.952 0.285 0.553 1
H31 H 0.969 0.714 0.558 1
H32 H 0.969 0.786 0.058 1
S1 S 0.047 0.005 0.796 1
S2 S 0.047 0.495 0.296 1
S3 S 0.477 0.007 0.293 1
S4 S 0.477 0.493 0.793 1
S5 S 0.523 0.507 0.207 1
S6 S 0.523 0.993 0.707 1
S7 S 0.953 0.505 0.704 1
S8 S 0.953 0.995 0.204 1
O1 O 0.018 0.727 0.007 1
O2 O 0.018 0.773 0.507 1
O3 O 0.067 0.015 0.676 1
O4 O 0.067 0.485 0.176 1
O5 O 0.094 0.505 0.685 1
O6 O 0.094 0.995 0.185 1
O7 O 0.113 0.626 0.341 1
O8 O 0.113 0.874 0.841 1
O9 O 0.116 0.127 0.854 1
O10 O 0.116 0.373 0.354 1
O11 O 0.217 0.015 0.486 1
O12 O 0.217 0.485 0.986 1
O13 O 0.352 0.666 0.455 1
O14 O 0.352 0.834 0.955 1
O15 O 0.354 0.166 0.965 1
O16 O 0.354 0.334 0.465 1
O17 O 0.379 0.025 0.682 1
O18 O 0.379 0.475 0.182 1
O19 O 0.393 0.588 0.854 1
O20 O 0.393 0.912 0.354 1
O21 O 0.437 0.511 0.671 1
O22 O 0.437 0.989 0.171 1
O23 O 0.452 0.153 0.324 1
O24 O 0.452 0.347 0.824 1
O25 O 0.548 0.653 0.176 1
O26 O 0.548 0.847 0.676 1
O27 O 0.563 0.011 0.829 1
O28 O 0.563 0.489 0.329 1
O29 O 0.607 0.088 0.646 1
O30 O 0.607 0.412 0.146 1
O31 O 0.621 0.525 0.818 1
O32 O 0.621 0.975 0.318 1
O33 O 0.646 0.666 0.535 1
O34 O 0.646 0.834 0.035 1
O35 O 0.648 0.166 0.045 1
O36 O 0.648 0.334 0.545 1
O37 O 0.783 0.515 0.014 1
O38 O 0.783 0.985 0.514 1
O39 O 0.884 0.627 0.646 1
O40 O 0.884 0.873 0.146 1
O41 O 0.887 0.126 0.159 1
O42 O 0.887 0.374 0.659 1
O43 O 0.906 0.005 0.815 1
O44 O 0.906 0.495 0.315 1
O45 O 0.933 0.515 0.824 1
O46 O 0.933 0.985 0.324 1
O47 O 0.982 0.227 0.493 1
O48 O 0.982 0.273 0.993 1
# Excess energy over the best structure of this formula in the dataset, eV/atom: 0.000
# Crystal system: monoclinic
# Symmetry: P2_1/c (14)



Record 3
# PBE+U VF5, optimized geometry
data_VF5
_chemical_formula_sum 'V8 F40'
_symmetry_space_group_name_H-M 'P 1'
_symmetry_Int_Tables_number 1
_symmetry_space_group_name_Hall 'P 1'
_cell_length_a 9.306
_cell_length_b 7.806
_cell_length_c 13.589
_cell_angle_alpha 90.00
_cell_angle_beta 128.60
_cell_angle_gamma 90.00
loop_
_atom_site_label
_atom_site_type_symbol
_atom_site_fract_x
_atom_site_fract_y
_atom_site_fract_z
_atom_site_occupancy
V1 V 0.202 0.207 0.183 1
V2 V 0.202 0.293 0.683 1
V3 V 0.218 0.725 0.837 1
V4 V 0.218 0.775 0.337 1
V5 V 0.782 0.225 0.663 1
V6 V 0.782 0.275 0.163 1
V7 V 0.798 0.707 0.317 1
V8 V 0.798 0.793 0.817 1
F1 F 0.011 0.673 0.468 1
F2 F 0.011 0.827 0.968 1
F3 F 0.045 0.205 0.722 1
F4 F 0.045 0.295 0.222 1
F5 F 0.101 0.670 0.191 1
F6 F 0.101 0.830 0.691 1
F7 F 0.156 0.517 0.734 1
F8 F 0.156 0.983 0.234 1
F9 F 0.241 0.096 0.644 1
F10 F 0.241 0.404 0.144 1
F11 F 0.251 0.589 0.420 1
F12 F 0.251 0.911 0.920 1
F13 F 0.263 0.581 0.954 1
F14 F 0.263 0.919 0.454 1
F15 F 0.330 0.084 0.155 1
F16 F 0.330 0.416 0.655 1
F17 F 0.380 0.238 0.346 1
F18 F 0.380 0.262 0.846 1
F19 F 0.436 0.723 0.878 1
F20 F 0.436 0.777 0.378 1
F21 F 0.564 0.223 0.622 1
F22 F 0.564 0.277 0.122 1
F23 F 0.620 0.738 0.154 1
F24 F 0.620 0.762 0.654 1
F25 F 0.670 0.584 0.345 1
F26 F 0.670 0.916 0.845 1
F27 F 0.737 0.081 0.546 1
F28 F 0.737 0.419 0.046 1
F29 F 0.749 0.089 0.080 1
F30 F 0.749 0.411 0.580 1
F31 F 0.759 0.596 0.856 1
F32 F 0.759 0.904 0.356 1
F33 F 0.844 0.017 0.766 1
F34 F 0.844 0.483 0.266 1
F35 F 0.899 0.170 0.309 1
F36 F 0.899 0.330 0.809 1
F37 F 0.955 0.705 0.778 1
F38 F 0.955 0.795 0.278 1
F39 F 0.989 0.173 0.032 1
F40 F 0.989 0.327 0.532 1
# Calculated total energy, hartree per atom: -0.19250
# Crystal system: monoclinic
# Symmetry: P2_1/c (14)



Record 4
# PBE+U Li3Fe3CoO8, optimized geometry
data_Li3Fe3CoO8
_chemical_formula_sum 'Li3 Fe3 Co1 O8'
_symmetry_space_group_name_H-M 'P 1'
_symmetry_Int_Tables_number 1
_symmetry_space_group_name_Hall 'P 1'
_cell_length_a 5.945
_cell_length_b 5.945
_cell_length_c 5.945
_cell_angle_alpha 59.65
_cell_angle_beta 59.65
_cell_angle_gamma 59.65
loop_
_atom_site_label
_atom_site_type_symbol
_atom_site_fract_x
_atom_site_fract_y
_atom_site_fract_z
_atom_site_occupancy
Li1 Li 0.000 0.500 0.500 1
Li2 Li 0.500 0.000 0.500 1
Li3 Li 0.500 0.500 0.000 1
Fe1 Fe 0.000 0.000 0.500 1
Fe2 Fe 0.000 0.500 0.000 1
Fe3 Fe 0.500 0.000 0.000 1
Co1 Co 0.500 0.500 0.500 1
O1 O 0.243 0.243 0.243 1
O2 O 0.260 0.728 0.728 1
O3 O 0.272 0.272 0.740 1
O4 O 0.272 0.740 0.272 1
O5 O 0.728 0.260 0.728 1
O6 O 0.728 0.728 0.260 1
O7 O 0.740 0.272 0.272 1
O8 O 0.757 0.757 0.757 1
# Excess energy over the best structure of this formula in the dataset, eV/atom: 0.000
# Crystal system: trigonal
# Symmetry: R-3m (166)



Record 5
# PBE+U Er2CrSbO7, optimized geometry
data_Er2CrSbO7
_chemical_formula_sum 'Er4 Cr2 Sb2 O14'
_symmetry_space_group_name_H-M 'P 1'
_symmetry_Int_Tables_number 1
_symmetry_space_group_name_Hall 'P 1'
_cell_length_a 7.233
_cell_length_b 7.233
_cell_length_c 7.233
_cell_angle_alpha 120.17
_cell_angle_beta 119.45
_cell_angle_gamma 90.33
loop_
_atom_site_label
_atom_site_type_symbol
_atom_site_fract_x
_atom_site_fract_y
_atom_site_fract_z
_atom_site_occupancy
Er1 Er 0.000 0.000 0.000 1
Er2 Er 0.500 0.000 0.000 1
Er3 Er 0.500 0.000 0.500 1
Er4 Er 0.500 0.500 0.500 1
Cr1 Cr 0.000 0.000 0.500 1
Cr2 Cr 0.000 0.500 0.000 1
Sb1 Sb 0.000 0.500 0.500 1
Sb2 Sb 0.500 0.500 0.000 1
O1 O 0.090 0.419 0.257 1
O2 O 0.090 0.833 0.671 1
O3 O 0.092 0.842 0.250 1
O4 O 0.334 0.584 0.750 1
O5 O 0.338 0.167 0.757 1
O6 O 0.338 0.581 0.171 1
O7 O 0.378 0.128 0.250 1
O8 O 0.622 0.872 0.750 1
O9 O 0.662 0.419 0.829 1
O10 O 0.662 0.833 0.243 1
O11 O 0.666 0.416 0.250 1
O12 O 0.908 0.158 0.750 1
O13 O 0.910 0.167 0.329 1
O14 O 0.910 0.581 0.743 1
# Calculated total energy, hartree per atom: -0.28196
# Crystal system: orthorhombic
# Symmetry: Imma (74)



Record 6
# PBE+U Li3Cr2P3O12, optimized geometry
data_Li3Cr2P3O12
_chemical_formula_sum 'Li6 Cr4 P6 O24'
_symmetry_space_group_name_H-M 'P 1'
_symmetry_Int_Tables_number 1
_symmetry_space_group_name_Hall 'P 1'
_cell_length_a 8.497
_cell_length_b 8.497
_cell_length_c 6.349
_cell_angle_alpha 106.48
_cell_angle_beta 106.48
_cell_angle_gamma 92.07
loop_
_atom_site_label
_atom_site_type_symbol
_atom_site_fract_x
_atom_site_fract_y
_atom_site_fract_z
_atom_site_occupancy
Li1 Li 0.000 0.000 0.000 1
Li2 Li 0.000 0.000 0.500 1
Li3 Li 0.220 0.780 0.750 1
Li4 Li 0.473 0.527 0.250 1
Li5 Li 0.527 0.473 0.750 1
Li6 Li 0.780 0.220 0.250 1
Cr1 Cr 0.119 0.442 0.862 1
Cr2 Cr 0.442 0.119 0.362 1
Cr3 Cr 0.558 0.881 0.638 1
Cr4 Cr 0.881 0.558 0.138 1
P1 P 0.155 0.360 0.368 1
P2 P 0.216 0.784 0.250 1
P3 P 0.360 0.155 0.868 1
P4 P 0.640 0.845 0.132 1
P5 P 0.784 0.216 0.750 1
P6 P 0.845 0.640 0.632 1
O1 O 0.039 0.203 0.300 1
O2 O 0.040 0.763 0.271 1
O3 O 0.095 0.449 0.173 1
O4 O 0.159 0.491 0.598 1
O5 O 0.203 0.039 0.800 1
O6 O 0.237 0.960 0.229 1
O7 O 0.247 0.663 0.033 1
O8 O 0.334 0.342 0.895 1
O9 O 0.337 0.753 0.467 1
O10 O 0.342 0.334 0.395 1
O11 O 0.449 0.095 0.673 1
O12 O 0.491 0.159 0.098 1
O13 O 0.509 0.841 0.902 1
O14 O 0.551 0.905 0.327 1
O15 O 0.658 0.666 0.605 1
O16 O 0.663 0.247 0.533 1
O17 O 0.666 0.658 0.105 1
O18 O 0.753 0.337 0.967 1
O19 O 0.763 0.040 0.771 1
O20 O 0.797 0.961 0.200 1
O21 O 0.841 0.509 0.402 1
O22 O 0.905 0.551 0.827 1
O23 O 0.960 0.237 0.729 1
O24 O 0.961 0.797 0.700 1
# Excess energy over the best structure of this formula in the dataset, eV/atom: 0.038
# Crystal system: monoclinic
# Symmetry: C2/c (15)



Record 7
# PBE+U Li5FeO4F, optimized geometry
data_Li5FeO4F
_chemical_formula_sum 'Li20 Fe4 O16 F4'
_symmetry_space_group_name_H-M 'P 1'
_symmetry_Int_Tables_number 1
_symmetry_space_group_name_Hall 'P 1'
_cell_length_a 5.211
_cell_length_b 10.348
_cell_length_c 9.760
_cell_angle_alpha 63.74
_cell_angle_beta 83.42
_cell_angle_gamma 101.41
loop_
_atom_site_label
_atom_site_type_symbol
_atom_site_fract_x
_atom_site_fract_y
_atom_site_fract_z
_atom_site_occupancy
Li1 Li 0.768 0.934 0.527 1
Li2 Li 0.268 0.934 0.027 1
Li3 Li 0.417 0.434 0.289 1
Li4 Li 0.917 0.434 0.789 1
Li5 Li 0.557 0.561 0.681 1
Li6 Li 0.057 0.561 0.182 1
Li7 Li 0.254 0.061 0.508 1
Li8 Li 0.754 0.061 0.008 1
Li9 Li 0.794 0.745 0.393 1
Li10 Li 0.294 0.745 0.893 1
Li11 Li 0.202 0.246 0.611 1
Li12 Li 0.702 0.246 0.111 1
Li13 Li 0.709 0.455 0.481 1
Li14 Li 0.208 0.455 0.981 1
Li15 Li 0.497 0.955 0.313 1
Li16 Li 0.997 0.955 0.814 1
Li17 Li 0.558 0.043 0.742 1
Li18 Li 0.058 0.043 0.242 1
Li19 Li 0.236 0.543 0.464 1
Li20 Li 0.736 0.543 0.964 1
Fe1 Fe 0.323 0.232 0.918 1
Fe2 Fe 0.659 0.732 0.100 1
Fe3 Fe 0.823 0.232 0.418 1
Fe4 Fe 0.159 0.732 0.600 1
O1 O 0.267 0.111 0.829 1
O2 O 0.766 0.111 0.329 1
O3 O 0.595 0.611 0.310 1
O4 O 0.095 0.611 0.810 1
O5 O 0.517 0.761 0.539 1
O6 O 0.017 0.761 0.039 1
O7 O 0.494 0.260 0.450 1
O8 O 0.994 0.261 0.950 1
O9 O 0.933 0.591 0.563 1
O10 O 0.433 0.591 0.063 1
O11 O 0.908 0.091 0.596 1
O12 O 0.408 0.091 0.096 1
O13 O 0.118 0.903 0.444 1
O14 O 0.618 0.903 0.944 1
O15 O 0.034 0.403 0.403 1
O16 O 0.535 0.403 0.903 1
F1 F 0.370 0.419 0.630 1
F2 F 0.870 0.419 0.130 1
F3 F 0.799 0.919 0.201 1
F4 F 0.299 0.919 0.701 1
# Calculated total energy, hartree per atom: -0.19223



Record 8
# PBE+U Li2Mn3P4O14, optimized geometry
data_Li2Mn3P4O14
_chemical_formula_sum 'Li2 Mn3 P4 O14'
_symmetry_space_group_name_H-M 'P 1'
_symmetry_Int_Tables_number 1
_symmetry_space_group_name_Hall 'P 1'
_cell_length_a 5.667
_cell_length_b 6.996
_cell_length_c 7.510
_cell_angle_alpha 73.96
_cell_angle_beta 81.95
_cell_angle_gamma 67.67
loop_
_atom_site_label
_atom_site_type_symbol
_atom_site_fract_x
_atom_site_fract_y
_atom_site_fract_z
_atom_site_occupancy
Li1 Li 0.147 0.027 0.191 1
Li2 Li 0.853 0.973 0.809 1
Mn1 Mn 0.293 0.492 0.184 1
Mn2 Mn 0.500 0.000 0.500 1
Mn3 Mn 0.707 0.508 0.816 1
P1 P 0.150 0.689 0.566 1
P2 P 0.306 0.267 0.841 1
P3 P 0.694 0.733 0.159 1
P4 P 0.850 0.311 0.434 1
O1 O 0.055 0.262 0.947 1
O2 O 0.129 0.228 0.354 1
O3 O 0.167 0.729 0.356 1
O4 O 0.240 0.434 0.639 1
O5 O 0.330 0.764 0.643 1
O6 O 0.442 0.356 0.944 1
O7 O 0.473 0.063 0.785 1
O8 O 0.527 0.937 0.215 1
O9 O 0.558 0.644 0.056 1
O10 O 0.670 0.236 0.357 1
O11 O 0.760 0.566 0.361 1
O12 O 0.833 0.271 0.644 1
O13 O 0.871 0.772 0.646 1
O14 O 0.945 0.738 0.053 1
# Excess energy over the best structure of this formula in the dataset, eV/atom: 0.021
# Crystal system: triclinic
# Symmetry: P-1 (2)



Record 9
# PBE+U La2TiCrO6, optimized geometry
data_La2TiCrO6
_chemical_formula_sum 'La4 Ti2 Cr2 O12'
_symmetry_space_group_name_H-M 'P 1'
_symmetry_Int_Tables_number 1
_symmetry_space_group_name_Hall 'P 1'
_cell_length_a 5.643
_cell_length_b 5.702
_cell_length_c 9.568
_cell_angle_alpha 89.67
_cell_angle_beta 72.92
_cell_angle_gamma 60.48
loop_
_atom_site_label
_atom_site_type_symbol
_atom_site_fract_x
_atom_site_fract_y
_atom_site_fract_z
_atom_site_occupancy
La1 La 0.242 0.382 0.125 1
La2 La 0.247 0.870 0.625 1
La3 La 0.753 0.130 0.375 1
La4 La 0.758 0.618 0.875 1
Ti1 Ti 0.494 0.759 0.251 1
Ti2 Ti 0.506 0.241 0.749 1
Cr1 Cr 0.000 0.000 0.000 1
Cr2 Cr 0.000 0.500 0.500 1
O1 O 0.170 0.713 0.386 1
O2 O 0.183 0.200 0.874 1
O3 O 0.232 0.969 0.137 1
O4 O 0.249 0.443 0.626 1
O5 O 0.324 0.135 0.373 1
O6 O 0.362 0.585 0.869 1
O7 O 0.638 0.415 0.131 1
O8 O 0.676 0.865 0.627 1
O9 O 0.751 0.557 0.374 1
O10 O 0.768 0.031 0.863 1
O11 O 0.817 0.800 0.126 1
O12 O 0.830 0.287 0.614 1
# Excess energy over the best structure of this formula in the dataset, eV/atom: 0.001
# Crystal system: triclinic
# Symmetry: P-1 (2)



Record 10
# PBE+U Li4FeTeW2O12, optimized geometry
data_Li4FeTeW2O12
_chemical_formula_sum 'Li8 Fe2 Te2 W4 O24'
_symmetry_space_group_name_H-M 'P 1'
_symmetry_Int_Tables_number 1
_symmetry_space_group_name_Hall 'P 1'
_cell_length_a 5.186
_cell_length_b 7.574
_cell_length_c 11.028
_cell_angle_alpha 85.66
_cell_angle_beta 89.77
_cell_angle_gamma 89.71
loop_
_atom_site_label
_atom_site_type_symbol
_atom_site_fract_x
_atom_site_fract_y
_atom_site_fract_z
_atom_site_occupancy
Li1 Li 0.000 0.000 0.000 1
Li2 Li 0.000 0.006 0.504 1
Li3 Li 0.485 0.408 0.683 1
Li4 Li 0.496 0.418 0.187 1
Li5 Li 0.502 0.954 0.690 1
Li6 Li 0.505 0.947 0.185 1
Li7 Li 0.989 0.410 0.956 1
Li8 Li 0.994 0.418 0.449 1
Fe1 Fe 0.496 0.220 0.973 1
Fe2 Fe 0.498 0.218 0.474 1
Te1 Te 0.975 0.703 0.728 1
Te2 Te 0.993 0.717 0.232 1
W1 W 0.002 0.216 0.232 1
W2 W 0.004 0.214 0.730 1
W3 W 0.478 0.715 0.978 1
W4 W 0.490 0.716 0.478 1
O1 O 0.123 0.965 0.233 1
O2 O 0.141 0.987 0.727 1
O3 O 0.169 0.645 0.920 1
O4 O 0.175 0.658 0.386 1
O5 O 0.193 0.276 0.085 1
O6 O 0.193 0.286 0.581 1
O7 O 0.287 0.298 0.827 1
O8 O 0.298 0.281 0.324 1
O9 O 0.316 0.663 0.153 1
O10 O 0.320 0.647 0.627 1
O11 O 0.380 0.960 0.483 1
O12 O 0.384 0.962 0.996 1
O13 O 0.621 0.483 0.477 1
O14 O 0.621 0.484 0.996 1
O15 O 0.638 0.783 0.826 1
O16 O 0.692 0.790 0.325 1
O17 O 0.701 0.172 0.141 1
O18 O 0.702 0.164 0.636 1
O19 O 0.795 0.793 0.574 1
O20 O 0.801 0.796 0.087 1
O21 O 0.818 0.171 0.885 1
O22 O 0.824 0.172 0.385 1
O23 O 0.842 0.464 0.728 1
O24 O 0.870 0.475 0.237 1
# Excess energy over the best structure of this formula in the dataset, eV/atom: 0.002
# Crystal system: triclinic
# Symmetry: P1 (1)